Computed, not measured: a geometry-optimized K3HS3O5 structure at the PBE-GGA level of DFT.

Output
M_tot: 0.11 μB per cell
final energy: -490.96 eV for the cell shown
formation enthalpy at 0 K: -168.3 kJ per mole of atoms

Lattice parameters (Å, degrees): 9.6734 6.1873 31.0444 90.00 98.86 90.00
Space group P2_1/c (No. 14)
Asymmetric unit:
K (0.0096, 0.1978, 0.4476)
K (0.0587, 0.2473, 0.6524)
K (0.2501, 0.0773, 0.2731)
K (0.3109, 0.6758, 0.4639)
K (0.4128, 0.6391, 0.0937)
K (0.4851, 0.1059, 0.1725)
H (0.0676, 0.7076, 0.2356)
H (0.1080, 0.5992, 0.2814)
S (0.1789, 0.7478, 0.1694)
S (0.2190, 0.1758, 0.0515)
S (0.2356, 0.0389, 0.3795)
S (0.2416, 0.1342, 0.8734)
S (0.3360, 0.1823, 0.5097)
S (0.3412, 0.5892, 0.2057)
O (0.0423, 0.7029, 0.2653)
O (0.0717, 0.2484, 0.5395)
O (0.1328, 0.0347, 0.8964)
O (0.2178, 0.0765, 0.8264)
O (0.2276, 0.5633, 0.5453)
O (0.2746, 0.2379, 0.0971)
O (0.2979, 0.1398, 0.7100)
O (0.3724, 0.6968, 0.2486)
O (0.3828, 0.0573, 0.8941)
O (0.4646, 0.5987, 0.1821)

=====

Computed, not measured: a geometry-optimized KH3SO6 structure at the PBE-GGA level of DFT.

Output
M_tot: 0.00 μB per cell
final energy: -465.33 eV for the cell shown
formation enthalpy at 0 K: -150.7 kJ per mole of atoms

Lattice parameters (Å, degrees): 18.4844 7.7496 7.5657 90.00 91.07 90.00
Space group C2/c (No. 15)
Asymmetric unit:
K (0.1806, 0.1214, 0.3769)
H (0.0425, 0.1756, 0.0432)
H (0.0457, 0.3687, 0.3773)
H (0.0498, 0.3107, 0.5737)
S (0.1526, 0.3600, 0.8549)
O (0.0397, 0.2666, 0.4534)
O (0.0809, 0.4128, 0.7887)
O (0.0927, 0.1214, 0.0381)
O (0.1394, 0.2743, 0.0544)
O (0.1854, 0.2252, 0.7479)
O (0.2007, 0.4998, 0.4078)

=====

Computed, not measured: a geometry-optimized KH3S2O8 structure at the PBE-GGA level of DFT.

Output
final energy: -313.10 eV for the cell shown
formation enthalpy at 0 K: -169.7 kJ per mole of atoms

Lattice parameters (Å, degrees): 7.7270 11.6395 8.9240 90.00 112.87 90.00
Space group P2_1/c (No. 14)
Asymmetric unit:
K (0.1374, 0.2494, 0.0543)
H (0.2367, 0.5821, 0.4934)
H (0.2547, 0.6158, 0.8528)
H (0.3612, 0.5729, 0.2041)
S (0.0674, 0.5038, 0.2642)
S (0.4343, 0.7087, 0.0679)
O (0.0387, 0.6048, 0.7577)
O (0.0469, 0.1072, 0.2738)
O (0.1926, 0.5021, 0.4545)
O (0.1981, 0.0029, 0.6790)
O (0.2667, 0.7226, 0.5392)
O (0.3928, 0.2311, 0.9004)
O (0.3965, 0.6280, 0.9192)
O (0.4726, 0.6281, 0.2158)

=====

What is the formula in the second record? KH3SO6